Record 1
Density functional theory data (PBE with a Hubbard U) for MgV6O5F19 after structural relaxation.

## Properties
- crystal system = triclinic
- E_tot (eV per atom) = -5.900
- volume (Å³/atom) = 14.2
- formation energy (meV per atom) = -2842
- size of the total moment (μB/f.u.) = 3.4

The structure in CIF format:
```
data_MgV6O5F19
_cell_length_a 5.184
_cell_length_b 5.427
_cell_length_c 15.905
_cell_angle_alpha 99.45
_cell_angle_beta 90.34
_cell_angle_gamma 91.40
_space_group_name_H-M_alt 'P 1'
_space_group_IT_number 1
_space_group_name_Hall 'P 1'
loop_
_atom_site_label
_atom_site_type_symbol
_atom_site_fract_x
_atom_site_fract_y
_atom_site_fract_z
_atom_site_occupancy
Mg1 Mg 0.000 0.000 0.000 1
V1 V 0.020 0.227 0.234 1
V2 V 0.086 0.526 0.868 1
V3 V 0.461 0.730 0.224 1
V4 V 0.479 0.409 0.550 1
V5 V 0.520 0.032 0.873 1
V6 V 0.997 0.883 0.555 1
O1 O 0.223 0.485 0.210 1
O2 O 0.226 0.797 0.846 1
O3 O 0.284 0.982 0.209 1
O4 O 0.308 0.645 0.531 1
O5 O 0.319 0.313 0.849 1
F1 F 0.090 0.273 0.344 1
F2 F 0.112 0.636 0.986 1
F3 F 0.123 0.939 0.660 1
F4 F 0.207 0.160 0.524 1
F5 F 0.362 0.102 0.984 1
F6 F 0.414 0.411 0.660 1
F7 F 0.460 0.765 0.337 1
F8 F 0.595 0.653 0.119 1
F9 F 0.614 0.300 0.450 1
F10 F 0.664 0.954 0.773 1
F11 F 0.711 0.084 0.579 1
F12 F 0.728 0.423 0.245 1
F13 F 0.729 0.792 0.922 1
F14 F 0.792 0.941 0.247 1
F15 F 0.794 0.593 0.585 1
F16 F 0.838 0.241 0.923 1
F17 F 0.863 0.449 0.783 1
F18 F 0.922 0.781 0.447 1
F19 F 0.927 0.137 0.113 1
```



Record 2
Density functional theory data (PBE with a Hubbard U) for MgV4O6F6 after structural relaxation.

## Properties
- crystal system = triclinic
- E_tot (eV per atom) = -6.656
- volume (Å³/atom) = 13.4
- formation energy (meV per atom) = -2808
- size of the total moment (μB/f.u.) = 4.0

The structure in CIF format:
```
data_MgV4O6F6
_cell_length_a 5.239
_cell_length_b 5.411
_cell_length_c 9.189
_cell_angle_alpha 83.98
_cell_angle_beta 84.94
_cell_angle_gamma 61.78
_space_group_name_H-M_alt 'P 1'
_space_group_IT_number 1
_space_group_name_Hall 'P 1'
loop_
_atom_site_label
_atom_site_type_symbol
_atom_site_fract_x
_atom_site_fract_y
_atom_site_fract_z
_atom_site_occupancy
Mg1 Mg 0.000 0.000 0.000 1
V1 V 0.020 0.147 0.664 1
V2 V 0.352 0.398 0.876 1
V3 V 0.472 0.483 0.227 1
V4 V 0.732 0.840 0.436 1
O1 O 0.127 0.222 0.842 1
O2 O 0.312 0.605 0.040 1
O3 O 0.490 0.193 0.325 1
O4 O 0.601 0.660 0.344 1
O5 O 0.615 0.354 0.746 1
O6 O 0.909 0.019 0.530 1
F1 F 0.056 0.791 0.801 1
F2 F 0.062 0.758 0.285 1
F3 F 0.439 0.939 0.600 1
F4 F 0.599 0.059 0.999 1
F5 F 0.860 0.303 0.133 1
F6 F 0.996 0.485 0.556 1
```



Record 3
Density functional theory data (PBE with a Hubbard U) for MgV4O8F4 after structural relaxation.

## Properties
- crystal system = triclinic
- E_tot (eV per atom) = -6.825
- volume (Å³/atom) = 13.0
- formation energy (meV per atom) = -2646
- size of the total moment (μB/f.u.) = 2.0

The structure in CIF format:
```
data_MgV4O8F4
_cell_length_a 5.073
_cell_length_b 5.416
_cell_length_c 8.989
_cell_angle_alpha 82.16
_cell_angle_beta 77.62
_cell_angle_gamma 66.68
_space_group_name_H-M_alt 'P 1'
_space_group_IT_number 1
_space_group_name_Hall 'P 1'
loop_
_atom_site_label
_atom_site_type_symbol
_atom_site_fract_x
_atom_site_fract_y
_atom_site_fract_z
_atom_site_occupancy
Mg1 Mg 0.000 0.000 0.000 1
V1 V 0.006 0.649 0.435 1
V2 V 0.227 0.006 0.645 1
V3 V 0.336 0.424 0.896 1
V4 V 0.662 0.535 0.166 1
O1 O 0.009 0.606 0.015 1
O2 O 0.028 0.398 0.570 1
O3 O 0.144 0.881 0.502 1
O4 O 0.268 0.172 0.828 1
O5 O 0.313 0.513 0.304 1
O6 O 0.395 0.652 0.756 1
O7 O 0.608 0.330 0.014 1
O8 O 0.750 0.663 0.310 1
F1 F 0.408 0.841 0.066 1
F2 F 0.616 0.961 0.538 1
F3 F 0.875 0.031 0.788 1
F4 F 0.919 0.162 0.204 1
```



Record 4
Density functional theory data (PBE with a Hubbard U) for MgV4O4F8 after structural relaxation.

## Properties
- crystal system = triclinic
- E_tot (eV per atom) = -6.455
- volume (Å³/atom) = 12.8
- formation energy (meV per atom) = -2938
- size of the total moment (μB/f.u.) = 6.0

The structure in CIF format:
```
data_MgV4O4F8
_cell_length_a 5.208
_cell_length_b 5.251
_cell_length_c 9.563
_cell_angle_alpha 89.00
_cell_angle_beta 74.66
_cell_angle_gamma 60.55
_space_group_name_H-M_alt 'P 1'
_space_group_IT_number 1
_space_group_name_Hall 'P 1'
loop_
_atom_site_label
_atom_site_type_symbol
_atom_site_fract_x
_atom_site_fract_y
_atom_site_fract_z
_atom_site_occupancy
Mg1 Mg 0.000 0.000 0.000 1
V1 V 0.249 0.863 0.544 1
V2 V 0.318 0.361 0.049 1
V3 V 0.740 0.621 0.785 1
V4 V 0.760 0.127 0.312 1
O1 O 0.019 0.909 0.437 1
O2 O 0.404 0.624 0.927 1
O3 O 0.544 0.803 0.668 1
O4 O 0.585 0.282 0.161 1
F1 F 0.039 0.346 0.925 1
F2 F 0.135 0.616 0.677 1
F3 F 0.143 0.118 0.159 1
F4 F 0.399 0.112 0.442 1
F5 F 0.618 0.508 0.423 1
F6 F 0.692 0.958 0.917 1
F7 F 0.926 0.211 0.695 1
F8 F 0.949 0.737 0.174 1
```